Na14Hf2Zn6Si5S7O48 after structural relaxation, computed with GGA-PBE.

Output
Crystal system: triclinic
E_form in meV/atom: -2349
Magnetization in μB per cell: 0.00

POSCAR file:
```
Na14Hf2Zn6Si5S7O48
1.0
9.1748 0.0000 0.0000
-0.0389 15.8680 0.0000
-0.0260 -0.0125 22.4046
Na Hf Zn Si S O
42 6 18 15 21 144
Cartesian
0.0000 0.0000 0.0000 Na
-0.0398 10.8221 14.8848 Na
0.2324 15.5580 14.8683 Na
0.3879 5.4694 15.1277 Na
0.4390 0.2570 7.2273 Na
0.5063 10.9867 22.2790 Na
0.5326 10.4405 7.3263 Na
1.5773 2.4455 18.6707 Na
1.6011 3.0308 11.0934 Na
1.6887 8.1989 18.5227 Na
1.7185 13.4815 3.8150 Na
1.8684 7.6162 3.5710 Na
2.1016 7.9286 11.1835 Na
2.1479 2.8378 3.5685 Na
2.1759 13.2533 18.6218 Na
3.3166 10.8492 9.2594 Na
3.4061 5.2813 1.9667 Na
3.4115 5.3142 13.0506 Na
3.3889 10.5584 20.5033 Na
3.3926 15.8164 16.8437 Na
3.4988 15.8636 5.5511 Na
4.5225 13.3709 7.0888 Na
4.7985 2.7988 14.9743 Na
4.9710 8.2987 7.1516 Na
4.9963 13.0707 0.0297 Na
5.0104 7.7530 15.1825 Na
5.1409 2.3570 7.1760 Na
5.1335 13.3688 15.0012 Na
6.1833 5.3493 3.6716 Na
6.1791 10.3018 18.4439 Na
6.2868 0.3708 18.6458 Na
6.2865 15.6831 3.8498 Na
6.3937 4.9759 11.1975 Na
6.5072 10.7747 3.6593 Na
6.7799 5.3919 18.3718 Na
7.7947 7.9263 16.8731 Na
7.8327 13.3704 1.7284 Na
7.8798 7.8687 5.5042 Na
7.8935 2.7564 20.6069 Na
7.9233 2.5848 9.2604 Na
7.8948 13.2612 13.2119 Na
9.1015 5.2610 7.2747 Na
3.2627 5.3934 20.7994 Hf
3.4255 15.8169 13.4262 Hf
3.4745 15.8617 2.1190 Hf
7.8558 7.8829 2.2194 Hf
7.9153 7.9331 13.3797 Hf
8.0225 13.3482 9.6061 Hf
3.2293 5.3488 9.6070 Zn
3.3444 5.3459 4.9324 Zn
3.3809 15.7741 8.7164 Zn
3.4228 10.7729 5.6990 Zn
3.4402 5.4645 16.5274 Zn
3.4324 10.9093 12.9278 Zn
3.5057 10.7326 1.5197 Zn
3.4944 15.7587 20.5530 Zn
3.5294 10.6454 16.9654 Zn
7.7941 2.7417 1.4828 Zn
7.7999 2.6808 5.6493 Zn
7.8289 2.7740 12.7552 Zn
7.8555 2.8302 16.9673 Zn
7.8619 13.4439 5.2692 Zn
7.8905 7.8471 19.9362 Zn
7.9088 13.2869 16.1953 Zn
7.9577 7.8675 9.0982 Zn
7.9786 13.4168 20.9510 Zn
0.0911 4.9417 3.6733 Si
0.1604 5.5577 11.0680 Si
0.6212 5.2837 18.4523 Si
1.4859 13.2234 7.2575 Si
1.9719 12.9246 14.9173 Si
1.9729 13.4687 22.2919 Si
4.6546 8.3758 3.6841 Si
4.7009 7.7781 18.5551 Si
4.8210 13.0241 3.6451 Si
5.1846 2.6708 3.6753 Si
6.1024 10.5953 14.8464 Si
6.1998 0.1337 22.2185 Si
6.4753 5.0673 14.8104 Si
6.5726 15.7196 7.3563 Si
6.6673 0.4364 14.8859 Si
0.0871 10.9560 18.6054 S
0.1255 10.3366 11.0584 S
0.1341 15.6270 18.5509 S
0.1994 0.3392 3.6078 S
0.6037 10.5854 3.6017 S
0.7173 0.0303 11.0677 S
1.4137 7.9519 22.2696 S
1.5345 2.6532 14.7748 S
1.9690 7.6950 7.4085 S
1.9766 8.2827 14.7491 S
2.0219 3.0096 7.4103 S
2.0343 2.4141 22.2633 S
4.6525 2.9784 18.5855 S
4.6811 2.3612 11.0357 S
4.7286 13.5277 11.0540 S
5.2088 8.0092 11.0435 S
5.2518 13.2815 18.5960 S
6.0113 5.4071 7.4710 S
6.5387 5.6135 22.2417 S
6.6044 10.2549 22.2362 S
6.6412 10.8722 7.4542 S
0.3345 13.3274 22.2615 O
0.3784 13.2353 15.0398 O
0.4441 8.1817 14.6654 O
0.4365 13.0242 8.5647 O
0.4686 7.8603 7.4673 O
0.5408 2.8829 7.3211 O
0.5492 13.4043 5.9345 O
0.5730 7.8202 1.0944 O
0.5767 2.5537 22.3406 O
0.5658 8.0658 21.0589 O
0.7149 2.8494 13.5660 O
0.7379 2.3856 15.9857 O
1.3960 10.3104 4.8242 O
1.4370 10.7791 2.4040 O
1.5678 0.1424 9.8608 O
1.5537 5.4959 17.1233 O
1.5417 15.7607 12.2966 O
1.5756 10.8323 18.5298 O
1.6000 10.4062 11.1316 O
1.6235 15.8039 18.6180 O
1.6750 5.0863 19.7472 O
1.6933 5.2752 3.7814 O
1.7076 0.2335 3.5213 O
1.8229 5.4896 11.0401 O
2.0495 11.9681 13.6080 O
2.2138 9.0631 15.9753 O
2.2543 6.8498 6.2278 O
2.2634 6.7055 22.2196 O
2.2520 9.1548 22.3622 O
2.2894 3.7942 8.6647 O
2.3149 14.5192 1.1501 O
2.3472 1.6173 21.0333 O
2.3686 14.5995 7.4241 O
2.4146 1.3976 14.6101 O
2.4232 11.8605 7.2746 O
2.4391 3.8125 14.9033 O
2.5126 7.0747 8.6582 O
2.5155 6.9055 14.8139 O
2.5111 8.9241 13.5318 O
2.6029 1.7359 1.0698 O
2.6151 3.6847 6.2349 O
2.5987 9.0433 7.3196 O
2.6297 1.6476 7.4892 O
2.5932 14.1185 20.9129 O
2.7017 11.9902 0.0341 O
2.7100 3.7614 22.2082 O
2.7084 14.4490 14.6493 O
2.7653 12.3491 16.2275 O
3.8691 9.0560 2.4489 O
3.8832 9.2091 18.5457 O
3.9992 1.6514 18.6782 O
4.0096 6.8643 19.7899 O
4.0592 3.7310 11.0556 O
4.0495 12.4525 4.9714 O
4.0841 14.5205 3.4938 O
4.1188 1.6632 12.2625 O
4.0964 12.2038 11.1609 O
4.1562 1.3732 3.4675 O
4.1479 6.8259 3.7975 O
4.1656 3.5988 17.3236 O
4.2197 3.9905 3.8097 O
4.2179 14.2103 9.8541 O
4.2542 9.1168 11.1728 O
4.2915 1.6060 9.8375 O
4.2855 3.8613 19.7521 O
4.3819 12.0597 18.5858 O
4.3816 14.5081 18.6038 O
4.4040 14.3669 12.2846 O
4.4658 6.7020 11.0379 O
4.5614 9.2597 5.0746 O
4.5680 6.8733 17.2114 O
4.6366 12.1194 2.3080 O
4.8464 5.2304 14.9571 O
4.9772 0.3037 14.6152 O
4.9908 0.0356 7.5353 O
5.0389 5.5035 22.2112 O
5.0950 15.8011 1.0655 O
5.1633 5.3079 8.7049 O
5.1372 10.3921 22.3077 O
5.1786 5.5167 6.2549 O
5.1624 10.7608 7.4812 O
5.1901 10.8231 13.5327 O
5.2612 10.1605 16.1813 O
5.3542 0.3662 20.8360 O
6.0072 2.2535 5.0396 O
6.0144 8.1980 9.8083 O
6.0774 13.3784 17.3619 O
6.1007 13.1757 19.8080 O
6.1342 2.8733 18.6299 O
6.1537 3.0221 2.4492 O
6.1525 2.4936 11.0975 O
6.1511 7.9028 12.2203 O
6.2255 13.4135 11.0233 O
6.3212 7.9679 18.7241 O
6.3456 8.2520 3.4373 O
6.4575 13.1739 3.7812 O
6.6860 4.2008 13.4482 O
6.7002 14.8031 6.0221 O
6.7320 1.3454 16.2527 O
6.8702 6.4814 1.0700 O
6.8611 6.6677 7.4858 O
6.8925 4.2101 7.4614 O
6.9497 14.5401 22.2348 O
6.9782 9.4850 21.0400 O
7.0018 11.7692 8.6121 O
7.0385 6.3090 21.0416 O
7.0344 11.9289 14.9779 O
7.1454 9.3022 14.6262 O
7.1305 14.7557 14.9975 O
7.1697 11.4430 6.1969 O
7.1740 4.3148 22.3490 O
7.1817 6.5906 14.6295 O
7.1881 9.5586 1.0633 O
7.2882 1.3679 0.0161 O
7.2729 9.5179 7.5996 O
7.2454 11.6008 22.2544 O
7.2865 4.5153 16.1144 O
7.2632 14.8053 8.6070 O
7.4213 1.2818 7.3508 O
7.4498 1.0894 13.6271 O
8.5421 4.4385 5.0708 O
8.5594 6.5012 3.4401 O
8.6592 6.1982 9.7172 O
8.6751 4.0582 11.2332 O
8.6681 11.6898 11.0190 O
8.6737 9.5762 18.6851 O
8.6996 1.1029 18.4713 O
8.6885 11.5761 17.3815 O
8.7433 9.6405 12.2633 O
8.7651 14.8320 3.6721 O
8.8183 0.9823 2.4095 O
8.7729 14.9806 19.7828 O
8.8672 3.9190 18.4593 O
8.8707 11.7380 3.7354 O
8.9014 6.6571 18.6243 O
8.9096 9.3223 3.4361 O
8.9664 9.5547 9.8266 O
8.9483 11.7628 19.8179 O
8.9933 6.6043 12.3262 O
9.0052 14.6470 11.0260 O
9.0458 1.2281 11.1538 O
9.0595 3.9526 2.4254 O
9.0339 14.7940 17.3516 O
9.1131 1.1120 4.8525 O
```